VASP calculation (r²SCAN) on a relaxed CdGeAs2 crystal.

abc: 5.9777 5.9777 11.3286
angles: 90.00 90.00 90.00
Last column: nearest neighbours and their distance in Å.
Fractional positions:
Cd: 0.0000 0.0000 0.0000  4 As 2.65
Cd: 0.0000 0.5000 0.2500  4 As 2.65
Cd: 0.5000 0.0000 0.7500  4 As 2.65
Cd: 0.5000 0.5000 0.5000  4 As 2.65
Ge: 0.0000 0.0000 0.5000  4 As 2.45
Ge: 0.0000 0.5000 0.7500  4 As 2.45
Ge: 0.5000 0.0000 0.2500  4 As 2.45
Ge: 0.5000 0.5000 0.0000  4 As 2.45
As: 0.2212 0.7500 0.6250  2 Ge 2.45, 2 Cd 2.65
As: 0.2500 0.2212 0.3750  2 Ge 2.45, 2 Cd 2.65
As: 0.2500 0.2788 0.8750  2 Ge 2.45, 2 Cd 2.65
As: 0.2788 0.7500 0.1250  2 Ge 2.45, 2 Cd 2.65
As: 0.7212 0.2500 0.1250  2 Ge 2.45, 2 Cd 2.65
As: 0.7500 0.7212 0.8750  2 Ge 2.45, 2 Cd 2.65
As: 0.7500 0.7788 0.3750  2 Ge 2.45, 2 Cd 2.65
As: 0.7788 0.2500 0.6250  2 Ge 2.45, 2 Cd 2.65

Values from the calculation:
- Size of the total moment: 0.0 μB/cell
- Energy: -255.92 eV/cell
- Energy relative to the elements: -0.147 eV per atom
- V: 404.8 Å³/cell
- ρ: 5.495 g/cm3
- Space-group type: I-42d, No. 122

VASP calculation (r²SCAN) on a relaxed Cd3AsI3 crystal.

abc: 7.4756 4.5575 7.8565
angles: 90.00 90.71 90.00
Last column: nearest neighbours and their distance in Å.
Fractional positions:
Cd: 0.0000 0.0000 0.0000  2 As 2.57
Cd: 0.0253 0.5000 0.5763  1 As 2.56, 1 I 2.83
Cd: 0.5598 0.5000 0.8406  1 As 2.57, 1 I 2.83
As: 0.9016 0.5000 0.8789  4 Cd 2.56-2.57
I: 0.3976 0.5000 0.5136  2 Cd 2.83
I: 0.4014 0.0000 0.0283  3 Cd 2.97-3.01
I: 0.8959 0.0000 0.3693  3 Cd 2.96-3.01

Values from the calculation:
- Size of the total moment: 0.0 μB/cell
- Energy: -152.48 eV/cell
- Energy relative to the elements: -0.540 eV per atom
- V: 267.7 Å³/cell
- ρ: 4.919 g/cm3
- Space-group type: Pm, No. 6

VASP calculation (r²SCAN) on a relaxed Cd2As2O7 crystal.

abc: 5.7446 5.7446 4.8864
angles: 97.09 97.09 104.84
Last column: nearest neighbours and their distance in Å.
Fractional positions:
Cd: 0.1958 0.8042 0.0000  6 O 2.24-2.36
Cd: 0.8042 0.1958 0.0000  6 O 2.24-2.36
As: 0.2729 0.2729 0.5904  4 O 1.68-1.74
As: 0.7271 0.7271 0.4096  4 O 1.68-1.74
O: 0.1098 0.4191 0.7766  1 As 1.68
O: 0.1140 0.1140 0.2831  1 As 1.68
O: 0.4191 0.1098 0.7766  1 As 1.68
O: 0.5000 0.5000 0.5000  2 As 1.74
O: 0.5809 0.8902 0.2234  1 As 1.68
O: 0.8860 0.8860 0.7169  1 As 1.68
O: 0.8902 0.5809 0.2234  1 As 1.68

Values from the calculation:
- Size of the total moment: 0.0 μB/cell
- Energy: -126.99 eV/cell
- Energy relative to the elements: -1.414 eV per atom
- V: 152.6 Å³/cell
- ρ: 5.294 g/cm3
- Space-group type: C2/m, No. 12

VASP calculation (r²SCAN) on a relaxed CdAsPt5 crystal.

abc: 3.9889 3.9889 7.2314
angles: 90.00 90.00 90.00
Last column: nearest neighbours and their distance in Å.
Fractional positions:
Cd: 0.0000 0.0000 0.0000  12 Pt 2.82-2.88
As: 0.5000 0.5000 0.5000  8 Pt 2.52
Pt: 0.0000 0.5000 0.2867  2 As 2.52, 4 Pt 2.82
Pt: 0.0000 0.5000 0.7133  2 As 2.52, 4 Pt 2.82
Pt: 0.5000 0.0000 0.2867  2 As 2.52, 4 Pt 2.82
Pt: 0.5000 0.0000 0.7133  2 As 2.52, 4 Pt 2.82
Pt: 0.5000 0.5000 0.0000  4 Cd 2.82, 8 Pt 2.88

Values from the calculation:
- Size of the total moment: 0.0 μB/cell
- Energy: -294.33 eV/cell
- Energy relative to the elements: -0.297 eV per atom
- V: 115.1 Å³/cell
- ρ: 16.781 g/cm3
- Space-group type: P4/mmm, No. 123

VASP calculation (r²SCAN) on a relaxed CeCo2As2 crystal.

abc: 4.0733 4.0733 9.9811
angles: 90.00 90.00 90.00
Last column: nearest neighbours and their distance in Å.
Fractional positions:
Ce: 0.0000 0.0000 0.0000  8 As 3.18, 8 Co 3.22
Ce: 0.5000 0.5000 0.5000  8 As 3.18, 8 Co 3.22
Co: 0.0000 0.5000 0.2500  4 As 2.33
Co: 0.0000 0.5000 0.7500  4 As 2.33
Co: 0.5000 0.0000 0.2500  4 As 2.33
Co: 0.5000 0.0000 0.7500  4 As 2.33
As: 0.0000 0.0000 0.3644  4 Co 2.33
As: 0.0000 0.0000 0.6356  4 Co 2.33
As: 0.5000 0.5000 0.1356  4 Co 2.33
As: 0.5000 0.5000 0.8644  4 Co 2.33

Values from the calculation:
- Size of the total moment: 2.9 μB/cell
- Energy: -181.10 eV/cell
- Energy relative to the elements: -0.765 eV per atom
- V: 165.6 Å³/cell
- ρ: 8.179 g/cm3
- Space-group type: I4/mmm, No. 139

VASP calculation (r²SCAN) on a relaxed CeFe4As12 crystal.

abc: 7.1588 7.1588 7.1588
angles: 109.47 109.47 109.47
Last column: nearest neighbours and their distance in Å.
Fractional positions:
Ce: 0.0000 0.0000 0.0000  12 As 3.11
Fe: 0.0000 0.0000 0.5000  6 As 2.34
Fe: 0.0000 0.5000 0.0000  6 As 2.34
Fe: 0.5000 0.0000 0.0000  6 As 2.34
Fe: 0.5000 0.5000 0.5000  6 As 2.34
As: 0.1554 0.3433 0.4986  2 Fe 2.34, 2 As 2.57-2.59
As: 0.1554 0.6567 0.8121  2 Fe 2.34, 2 As 2.57-2.59
As: 0.1879 0.8446 0.3433  2 Fe 2.34, 2 As 2.57-2.59
As: 0.3433 0.1879 0.8446  2 Fe 2.34, 2 As 2.57-2.59
As: 0.3433 0.4986 0.1554  2 Fe 2.34, 2 As 2.57-2.59
As: 0.4986 0.1554 0.3433  2 Fe 2.34, 2 As 2.57-2.59
As: 0.5014 0.8446 0.6567  2 Fe 2.34, 2 As 2.57-2.59
As: 0.6567 0.5014 0.8446  2 Fe 2.34, 2 As 2.57-2.59
As: 0.6567 0.8121 0.1554  2 Fe 2.34, 2 As 2.57-2.59
As: 0.8121 0.1554 0.6567  2 Fe 2.34, 2 As 2.57-2.59
As: 0.8446 0.3433 0.1879  2 Fe 2.34, 2 As 2.57-2.59
As: 0.8446 0.6567 0.5014  2 Fe 2.34, 2 As 2.57-2.59

Values from the calculation:
- Size of the total moment: 0.0 μB/cell
- Energy: -270.80 eV/cell
- Energy relative to the elements: -0.342 eV per atom
- V: 282.4 Å³/cell
- ρ: 7.423 g/cm3
- Space-group type: Im-3, No. 204

VASP calculation (r²SCAN) on a relaxed Ce6Mg23As crystal.

abc: 10.2814 10.2814 10.2814
angles: 60.00 60.00 60.00
Last column: nearest neighbours and their distance in Å.
Fractional positions:
Ce: 0.2048 0.2048 0.7952  1 As 2.98
Ce: 0.2048 0.7952 0.2048  1 As 2.98
Ce: 0.2048 0.7952 0.7952  1 As 2.98
Ce: 0.7952 0.2048 0.2048  1 As 2.98
Ce: 0.7952 0.2048 0.7952  1 As 2.98
Ce: 0.7952 0.7952 0.2048  1 As 2.98
Mg: 0.0000 0.0000 0.5000  8 Mg 2.97-3.17
Mg: 0.0000 0.5000 0.0000  8 Mg 2.97-3.17
Mg: 0.0000 0.5000 0.5000  8 Mg 2.97-3.17
Mg: 0.1326 0.6225 0.6225  7 Mg 3.08-3.17
Mg: 0.1717 0.1717 0.1717  9 Mg 2.97-3.22
Mg: 0.1717 0.1717 0.4848  9 Mg 2.97-3.22
Mg: 0.1717 0.4848 0.1717  9 Mg 2.97-3.22
Mg: 0.3775 0.3775 0.3775  7 Mg 3.08-3.17
Mg: 0.3775 0.3775 0.8674  7 Mg 3.08-3.17
Mg: 0.3775 0.8674 0.3775  7 Mg 3.08-3.17
Mg: 0.4848 0.1717 0.1717  9 Mg 2.97-3.22
Mg: 0.5000 0.0000 0.0000  8 Mg 2.97-3.17
Mg: 0.5000 0.0000 0.5000  8 Mg 2.97-3.17
Mg: 0.5000 0.5000 0.0000  8 Mg 2.97-3.17
Mg: 0.5000 0.5000 0.5000  8 Mg 3.08
Mg: 0.5152 0.8283 0.8283  9 Mg 2.97-3.22
Mg: 0.6225 0.1326 0.6225  7 Mg 3.08-3.17
Mg: 0.6225 0.6225 0.1326  7 Mg 3.08-3.17
Mg: 0.6225 0.6225 0.6225  7 Mg 3.08-3.17
Mg: 0.8283 0.5152 0.8283  9 Mg 2.97-3.22
Mg: 0.8283 0.8283 0.5152  9 Mg 2.97-3.22
Mg: 0.8283 0.8283 0.8283  9 Mg 2.97-3.22
Mg: 0.8674 0.3775 0.3775  7 Mg 3.08-3.17
As: 0.0000 0.0000 0.0000  6 Ce 2.98

Values from the calculation:
- Size of the total moment: 8.2 μB/cell
- Energy: -301.22 eV/cell
- Energy relative to the elements: -0.186 eV per atom
- V: 768.5 Å³/cell
- ρ: 3.186 g/cm3
- Space-group type: Fm-3m, No. 225

VASP calculation (r²SCAN) on a relaxed CeAsPd crystal.

abc: 4.3807 4.3807 7.8852
angles: 90.00 90.00 120.00
Last column: nearest neighbours and their distance in Å.
Fractional positions:
Ce: 0.0000 0.0000 0.0000  6 As 3.21, 6 Pd 3.21
Ce: 0.0000 0.0000 0.5000  6 As 3.21, 6 Pd 3.21
As: 0.3333 0.6667 0.2500  3 Pd 2.53
As: 0.6667 0.3333 0.7500  3 Pd 2.53
Pd: 0.3333 0.6667 0.7500  3 As 2.53
Pd: 0.6667 0.3333 0.2500  3 As 2.53

Values from the calculation:
- Size of the total moment: 2.0 μB/cell
- Energy: -145.00 eV/cell
- Energy relative to the elements: -1.331 eV per atom
- V: 131.0 Å³/cell
- ρ: 8.147 g/cm3
- Space-group type: P6_3/mmc, No. 194

VASP calculation (r²SCAN) on a relaxed CeAs2Rh2 crystal.

abc: 4.2957 4.2957 9.8758
angles: 90.00 90.00 90.00
Last column: nearest neighbours and their distance in Å.
Fractional positions:
Ce: 0.2500 0.2500 0.2459  8 As 3.24-3.25, 9 Rh 3.29-3.60
Ce: 0.7500 0.7500 0.7541  8 As 3.24-3.25, 9 Rh 3.29-3.60
As: 0.2500 0.2500 0.6368  5 Rh 2.42-2.54
As: 0.2500 0.7500 0.0000  4 Rh 2.44
As: 0.7500 0.2500 0.0000  4 Rh 2.44
As: 0.7500 0.7500 0.3632  5 Rh 2.42-2.54
Rh: 0.2500 0.2500 0.8817  5 As 2.42-2.44
Rh: 0.2500 0.7500 0.5000  4 As 2.54
Rh: 0.7500 0.2500 0.5000  4 As 2.54
Rh: 0.7500 0.7500 0.1183  5 As 2.42-2.44

Values from the calculation:
- Size of the total moment: 1.5 μB/cell
- Energy: -227.39 eV/cell
- Energy relative to the elements: -1.034 eV per atom
- V: 182.2 Å³/cell
- ρ: 9.035 g/cm3
- Space-group type: P4/nmm, No. 129

Q: Among the records above, which one has the lowest ρ?
A: Ce6Mg23As

Q: Look up the ρ of the first one.
A: 5.495 g/cm3

Q: Among the records above, which one has the lowest ρ?
A: Ce6Mg23As

Q: What is the formula in the first record?
A: CdGeAs2